Record 1
Compound: Mn3Cu2NiP6O24
Source: the Materials Project
Functional: GGA+U
Structure: relaxed

a = 8.510 Å, b = 8.510 Å, c = 8.510 Å
α = 60.15°, β = 60.15°, γ = 60.15°
Fractional positions:
O1 0.805 0.621 0.008
O2 0.083 0.742 0.945
O3 0.876 0.689 0.497
O4 0.621 0.008 0.805
O5 0.387 0.984 0.193
O6 0.562 0.760 0.418
O7 0.742 0.945 0.083
O8 0.263 0.054 0.910
O9 0.122 0.304 0.511
O10 0.193 0.387 0.984
O11 0.008 0.805 0.621
O12 0.910 0.263 0.054
O13 0.235 0.579 0.450
O14 0.689 0.497 0.876
O15 0.054 0.910 0.263
O16 0.579 0.450 0.235
O17 0.760 0.418 0.562
O18 0.304 0.511 0.122
O19 0.497 0.876 0.689
O20 0.511 0.122 0.304
O21 0.984 0.193 0.387
O22 0.418 0.562 0.760
O23 0.450 0.235 0.579
O24 0.945 0.083 0.742
Ni1 0.142 0.142 0.142
Mn1 0.358 0.358 0.358
Mn2 0.642 0.642 0.642
Mn3 0.858 0.858 0.858
Cu1 0.501 0.501 0.501
Cu2 0.002 0.002 0.002
P1 0.459 0.038 0.749
P2 0.038 0.749 0.459
P3 0.749 0.459 0.038
P4 0.249 0.541 0.960
P5 0.541 0.960 0.249
P6 0.960 0.249 0.541

- DFT total energy: -245.18 eV/cell
- ΔH_f (0 K): -2.13 eV per atom
- Total magnetization: 13.00 μB per formula unit

***

Record 2
Compound: Mn4CuO8
Source: the Materials Project
Functional: GGA+U
Structure: relaxed

a = 6.011 Å, b = 6.011 Å, c = 6.016 Å
α = 60.96°, β = 60.96°, γ = 57.87°
Fractional positions:
O1 0.280 0.778 0.198
O2 0.258 0.258 0.779
O3 0.720 0.222 0.802
O4 0.222 0.720 0.802
O5 0.742 0.742 0.221
O6 0.778 0.280 0.198
O7 0.737 0.737 0.802
O8 0.263 0.263 0.198
Mn1 0.500 0.500 0.500
Mn2 0.000 0.000 0.000
Mn3 0.500 0.000 0.000
Mn4 0.000 0.500 0.000
Cu1 0.500 0.500 0.000

- DFT total energy: -89.79 eV/cell
- ΔH_f (0 K): -1.66 eV per atom
- Total magnetization: 15.00 μB per formula unit

***

Record 3
Compound: MnCuO3
Source: the Materials Project
Functional: GGA+U
Structure: relaxed

a = 5.033 Å, b = 5.033 Å, c = 5.425 Å
α = 117.64°, β = 62.36°, γ = 120.00°
Fractional positions:
Cu1 0.357 0.643 0.929
Cu2 0.643 0.357 0.071
Mn1 0.155 0.845 0.534
Mn2 0.845 0.155 0.466
O1 0.232 0.052 0.262
O2 0.768 0.948 0.738
O3 0.558 0.768 0.262
O4 0.442 0.232 0.738
O5 0.948 0.442 0.262
O6 0.052 0.558 0.738

- DFT total energy: -63.02 eV/cell
- ΔH_f (0 K): -1.43 eV per atom
- Total magnetization: 2.00 μB per formula unit

***

Record 4
Compound: MnCuO2
Source: the Materials Project
Functional: GGA+U
Structure: relaxed

a = 3.205 Å, b = 5.258 Å, c = 6.084 Å
α = 108.63°, β = 95.23°, γ = 84.90°
Fractional positions:
O1 0.015 0.615 0.819
O2 0.485 0.885 0.181
O3 0.985 0.385 0.181
O4 0.515 0.115 0.819
Mn1 0.500 0.500 0.000
Mn2 0.000 0.000 0.000
Cu1 0.000 0.500 0.500
Cu2 0.500 0.000 0.500

- DFT total energy: -52.55 eV/cell
- ΔH_f (0 K): -1.54 eV per atom

***

Record 5
Compound: MnCu6O8
Source: the Materials Project
Functional: GGA+U
Structure: relaxed

a = 6.476 Å, b = 6.476 Å, c = 6.476 Å
α = 60.00°, β = 60.00°, γ = 60.00°
Fractional positions:
Mn1 0.000 0.000 0.000
O1 0.859 0.859 0.859
O2 0.577 0.141 0.141
O3 0.859 0.423 0.859
O4 0.423 0.859 0.859
O5 0.859 0.859 0.423
O6 0.141 0.141 0.141
O7 0.141 0.577 0.141
O8 0.141 0.141 0.577
Cu1 0.500 0.500 0.000
Cu2 0.000 0.500 0.500
Cu3 0.000 0.500 0.000
Cu4 0.000 0.000 0.500
Cu5 0.500 0.000 0.000
Cu6 0.500 0.000 0.500

- DFT total energy: -82.96 eV/cell
- ΔH_f (0 K): -1.12 eV per atom

***

Record 6
Compound: Mn9Cu6O20
Source: the Materials Project
Functional: GGA+U
Structure: relaxed

a = 6.032 Å, b = 6.032 Å, c = 24.858 Å
α = 81.75°, β = 81.75°, γ = 59.59°
Fractional positions:
O1 0.164 0.164 0.482
O2 0.268 0.812 0.677
O3 0.061 0.061 0.281
O4 0.366 0.366 0.881
O5 0.486 0.486 0.570
O6 0.784 0.240 0.171
O7 0.766 0.766 0.683
O8 0.435 0.987 0.573
O9 0.987 0.435 0.573
O10 0.187 0.187 0.971
O11 0.040 0.582 0.773
O12 0.186 0.636 0.972
O13 0.390 0.390 0.369
O14 0.605 0.059 0.280
O15 0.867 0.410 0.877
O16 0.668 0.208 0.479
O17 0.666 0.666 0.482
O18 0.877 0.877 0.372
O19 0.572 0.572 0.280
O20 0.285 0.285 0.169
O21 0.393 0.841 0.370
O22 0.266 0.266 0.678
O23 0.465 0.465 0.079
O24 0.410 0.867 0.877
O25 0.812 0.268 0.677
O26 0.684 0.684 0.968
O27 0.012 0.467 0.077
O28 0.059 0.605 0.280
O29 0.841 0.393 0.370
O30 0.240 0.784 0.171
O31 0.965 0.965 0.082
O32 0.582 0.040 0.773
O33 0.585 0.585 0.773
O34 0.467 0.012 0.077
O35 0.864 0.864 0.877
O36 0.084 0.084 0.768
O37 0.636 0.186 0.972
O38 0.786 0.786 0.169
O39 0.988 0.988 0.571
O40 0.208 0.668 0.479
Cu1 0.125 0.125 0.125
Cu2 0.053 0.053 0.849
Cu3 0.454 0.454 0.651
Cu4 0.525 0.525 0.426
Cu5 0.925 0.925 0.726
Cu6 0.654 0.654 0.049
Cu7 0.924 0.924 0.225
Cu8 0.251 0.251 0.251
Cu9 0.525 0.525 0.924
Cu10 0.855 0.855 0.452
Cu11 0.397 0.397 0.800
Cu12 0.326 0.326 0.525
Mn1 0.794 0.794 0.600
Mn2 0.424 0.926 0.726
Mn3 0.197 0.197 0.399
Mn4 0.926 0.424 0.726
Mn5 0.223 0.726 0.325
Mn6 0.126 0.126 0.626
Mn7 0.324 0.324 0.025
Mn8 0.726 0.726 0.325
Mn9 0.823 0.326 0.525
Mn10 0.326 0.823 0.525
Mn11 0.525 0.025 0.924
Mn12 0.624 0.126 0.125
Mn13 0.594 0.594 0.197
Mn14 0.025 0.525 0.924
Mn15 0.126 0.624 0.125
Mn16 0.725 0.725 0.825
Mn17 0.994 0.994 0.999
Mn18 0.726 0.223 0.325

- DFT total energy: -465.10 eV/cell
- ΔH_f (0 K): -1.58 eV per atom
- Total magnetization: 31.00 μB per formula unit

***

Record 7
Compound: Mn2CuP3O12
Source: the Materials Project
Functional: GGA+U
Structure: relaxed

a = 8.557 Å, b = 8.557 Å, c = 8.557 Å
α = 59.82°, β = 59.82°, γ = 59.82°
Fractional positions:
O1 0.198 0.990 0.379
O2 0.379 0.198 0.990
O3 0.990 0.379 0.198
O4 0.263 0.918 0.055
O5 0.418 0.763 0.555
O6 0.555 0.418 0.763
O7 0.445 0.582 0.237
O8 0.737 0.082 0.945
O9 0.302 0.121 0.510
O10 0.121 0.510 0.302
O11 0.490 0.698 0.879
O12 0.802 0.010 0.621
O13 0.879 0.490 0.698
O14 0.237 0.445 0.582
O15 0.010 0.621 0.802
O16 0.582 0.237 0.445
O17 0.510 0.302 0.121
O18 0.763 0.555 0.418
O19 0.055 0.263 0.918
O20 0.945 0.737 0.082
O21 0.698 0.879 0.490
O22 0.621 0.802 0.010
O23 0.082 0.945 0.737
O24 0.918 0.055 0.263
P1 0.461 0.750 0.039
P2 0.539 0.250 0.961
P3 0.961 0.539 0.250
P4 0.750 0.039 0.461
P5 0.250 0.961 0.539
P6 0.039 0.461 0.750
Mn1 0.358 0.358 0.358
Mn2 0.642 0.642 0.642
Mn3 0.858 0.858 0.858
Mn4 0.142 0.142 0.142
Cu1 0.500 0.500 0.500
Cu2 0.000 0.000 0.000

- DFT total energy: -252.12 eV/cell
- ΔH_f (0 K): -2.20 eV per atom
- Total magnetization: 6.00 μB per formula unit
- Polymorph energy (0 for the lowest one): 0.27 kJ/mol of atoms

***

Record 8
Compound: Mn2CuP3O12
Source: the Materials Project
Functional: GGA+U
Structure: relaxed

a = 8.801 Å, b = 8.272 Å, c = 8.547 Å
α = 60.83°, β = 58.86°, γ = 60.51°
Fractional positions:
O1 0.739 0.935 0.088
O2 0.874 0.695 0.491
O3 0.506 0.113 0.317
O4 0.261 0.065 0.912
O5 0.899 0.252 0.054
O6 0.439 0.254 0.579
O7 0.682 0.499 0.879
O8 0.561 0.746 0.421
O9 0.494 0.887 0.683
O10 0.608 0.026 0.802
O11 0.226 0.586 0.442
O12 0.101 0.748 0.946
O13 0.816 0.610 0.002
O14 0.318 0.501 0.121
O15 0.184 0.390 0.998
O16 0.774 0.414 0.558
O17 0.126 0.305 0.509
O18 0.392 0.974 0.198
O19 0.943 0.085 0.743
O20 0.574 0.454 0.236
O21 0.002 0.185 0.384
O22 0.426 0.546 0.764
O23 0.998 0.815 0.616
O24 0.057 0.915 0.257
Mn1 0.148 0.138 0.143
Mn2 0.852 0.862 0.857
Mn3 0.643 0.640 0.642
Mn4 0.357 0.360 0.358
P1 0.967 0.248 0.543
P2 0.458 0.051 0.747
P3 0.254 0.545 0.964
P4 0.746 0.455 0.036
P5 0.033 0.752 0.457
P6 0.542 0.949 0.253
Cu1 0.000 0.000 0.000
Cu2 0.500 0.500 0.500

- DFT total energy: -252.22 eV/cell
- ΔH_f (0 K): -2.20 eV per atom
- Total magnetization: 6.00 μB per formula unit
- Polymorph energy (0 for the lowest one): 0.00 kJ/mol of atoms

***

Record 9
Compound: Mn5CuP6O24
Source: the Materials Project
Functional: GGA+U
Structure: relaxed

a = 8.586 Å, b = 8.558 Å, c = 8.558 Å
α = 60.00°, β = 60.11°, γ = 60.11°
Fractional positions:
Cu1 0.566 0.145 0.145
P1 0.752 0.749 0.461
P2 0.752 0.461 0.038
P3 0.752 0.038 0.749
P4 0.250 0.250 0.541
P5 0.250 0.960 0.250
P6 0.250 0.541 0.960
O1 0.770 0.265 0.053
O2 0.435 0.385 0.982
O3 0.258 0.419 0.560
O4 0.770 0.912 0.265
O5 0.066 0.301 0.511
O6 0.233 0.084 0.739
O7 0.567 0.010 0.801
O8 0.435 0.198 0.385
O9 0.233 0.943 0.084
O10 0.739 0.447 0.235
O11 0.935 0.495 0.877
O12 0.066 0.122 0.301
O13 0.739 0.580 0.447
O14 0.935 0.877 0.693
O15 0.066 0.511 0.122
O16 0.567 0.801 0.622
O17 0.935 0.693 0.495
O18 0.258 0.763 0.419
O19 0.258 0.560 0.763
O20 0.233 0.739 0.943
O21 0.739 0.235 0.580
O22 0.435 0.982 0.198
O23 0.770 0.053 0.912
O24 0.567 0.622 0.010
Mn1 0.992 0.003 0.003
Mn2 0.069 0.644 0.644
Mn3 0.429 0.857 0.857
Mn4 0.500 0.500 0.500
Mn5 0.931 0.356 0.356

- DFT total energy: -258.94 eV/cell
- ΔH_f (0 K): -2.30 eV per atom
- Total magnetization: 18.00 μB per formula unit

***

Record 10
Compound: Mn7CuP12O48
Source: the Materials Project
Functional: GGA+U
Structure: relaxed

a = 8.514 Å, b = 8.533 Å, c = 11.882 Å
α = 90.04°, β = 90.02°, γ = 90.09°
Fractional positions:
Mn1 0.251 0.536 0.382
Mn2 0.251 0.464 0.884
Mn3 0.750 0.965 0.883
Mn4 0.751 0.535 0.118
Mn5 0.749 0.036 0.382
Mn6 0.250 0.966 0.617
Mn7 0.249 0.035 0.117
O1 0.179 0.989 0.771
O2 0.822 0.486 0.776
O3 0.441 0.142 0.077
O4 0.153 0.278 0.824
O5 0.925 0.400 0.159
O6 0.854 0.664 0.581
O7 0.941 0.141 0.423
O8 0.820 0.012 0.228
O9 0.343 0.779 0.676
O10 0.849 0.779 0.825
O11 0.341 0.938 0.473
O12 0.949 0.358 0.578
O13 0.659 0.062 0.527
O14 0.157 0.439 0.027
O15 0.559 0.642 0.077
O16 0.441 0.359 0.923
O17 0.575 0.900 0.342
O18 0.841 0.939 0.028
O19 0.426 0.096 0.660
O20 0.075 0.598 0.840
O21 0.060 0.643 0.422
O22 0.651 0.273 0.681
O23 0.182 0.513 0.227
O24 0.652 0.221 0.322
O25 0.151 0.158 0.579
O26 0.060 0.860 0.576
O27 0.354 0.842 0.081
O28 0.647 0.342 0.080
O29 0.925 0.100 0.841
O30 0.843 0.565 0.975
O31 0.152 0.222 0.176
O32 0.341 0.562 0.527
O33 0.320 0.488 0.728
O34 0.646 0.158 0.919
O35 0.319 0.012 0.272
O36 0.146 0.342 0.418
O37 0.353 0.659 0.919
O38 0.676 0.512 0.269
O39 0.423 0.398 0.339
O40 0.571 0.604 0.663
O41 0.075 0.900 0.159
O42 0.681 0.983 0.728
O43 0.558 0.859 0.923
O44 0.653 0.443 0.470
O45 0.848 0.722 0.177
O46 0.854 0.842 0.418
O47 0.158 0.061 0.973
O48 0.348 0.722 0.324
P1 0.894 0.610 0.856
P2 0.106 0.108 0.854
P3 0.606 0.390 0.353
P4 0.537 0.250 0.000
P5 0.608 0.105 0.647
P6 0.039 0.249 0.499
P7 0.964 0.751 0.499
P8 0.107 0.392 0.146
P9 0.391 0.610 0.646
P10 0.463 0.750 0.000
P11 0.393 0.892 0.354
P12 0.893 0.892 0.146
Cu1 0.749 0.462 0.616

- DFT total energy: -470.67 eV/cell
- ΔH_f (0 K): -2.13 eV per atom
- Total magnetization: 24.00 μB per formula unit

***

Record 11
Compound: MnCu3P4O16
Source: the Materials Project
Functional: GGA+U
Structure: relaxed

a = 5.941 Å, b = 4.883 Å, c = 9.749 Å
α = 89.06°, β = 90.00°, γ = 90.00°
Fractional positions:
O1 0.298 0.266 0.170
O2 0.202 0.762 0.330
O3 0.500 0.735 0.119
O4 0.000 0.648 0.058
O5 0.798 0.762 0.330
O6 0.000 0.838 0.557
O7 0.000 0.274 0.879
O8 0.500 0.768 0.617
O9 0.801 0.741 0.830
O10 0.705 0.225 0.667
O11 0.702 0.266 0.170
O12 0.000 0.223 0.385
O13 0.500 0.147 0.441
O14 0.500 0.369 0.944
O15 0.199 0.741 0.830
O16 0.295 0.225 0.667
P1 0.500 0.423 0.100
P2 0.000 0.908 0.402
P3 0.500 0.084 0.597
P4 0.000 0.583 0.904
Cu1 0.000 0.426 0.217
Cu2 0.500 0.929 0.285
Cu3 0.500 0.597 0.789
Mn1 0.000 0.061 0.715

- DFT total energy: -157.28 eV/cell
- ΔH_f (0 K): -1.99 eV per atom
- Total magnetization: 4.00 μB per formula unit

***

What did the eighth record say?
Compound: Mn2CuP3O12
Source: the Materials Project
Functional: GGA+U
Structure: relaxed

a = 8.801 Å, b = 8.272 Å, c = 8.547 Å
α = 60.83°, β = 58.86°, γ = 60.51°
Fractional positions:
O1 0.739 0.935 0.088
O2 0.874 0.695 0.491
O3 0.506 0.113 0.317
O4 0.261 0.065 0.912
O5 0.899 0.252 0.054
O6 0.439 0.254 0.579
O7 0.682 0.499 0.879
O8 0.561 0.746 0.421
O9 0.494 0.887 0.683
O10 0.608 0.026 0.802
O11 0.226 0.586 0.442
O12 0.101 0.748 0.946
O13 0.816 0.610 0.002
O14 0.318 0.501 0.121
O15 0.184 0.390 0.998
O16 0.774 0.414 0.558
O17 0.126 0.305 0.509
O18 0.392 0.974 0.198
O19 0.943 0.085 0.743
O20 0.574 0.454 0.236
O21 0.002 0.185 0.384
O22 0.426 0.546 0.764
O23 0.998 0.815 0.616
O24 0.057 0.915 0.257
Mn1 0.148 0.138 0.143
Mn2 0.852 0.862 0.857
Mn3 0.643 0.640 0.642
Mn4 0.357 0.360 0.358
P1 0.967 0.248 0.543
P2 0.458 0.051 0.747
P3 0.254 0.545 0.964
P4 0.746 0.455 0.036
P5 0.033 0.752 0.457
P6 0.542 0.949 0.253
Cu1 0.000 0.000 0.000
Cu2 0.500 0.500 0.500

- DFT total energy: -252.22 eV/cell
- ΔH_f (0 K): -2.20 eV per atom
- Total magnetization: 6.00 μB per formula unit
- Polymorph energy (0 for the lowest one): 0.00 kJ/mol of atoms